Entry P
PBE CsCeMg14, optimized geometry; magnetic moment = 0.09 μB/atom; density = 2.46 g/cm3
1.0
3.152 -6.034 0.000
3.152 6.034 0.000
0.000 0.000 10.863
Mg Ce Cs
14 1 1
direct
0.166 0.322 0.230
0.678 0.834 0.770
0.833 0.666 0.500
0.668 0.332 0.252
0.828 0.172 0.000
0.334 0.167 0.500
0.166 0.322 0.770
0.668 0.332 0.748
0.159 0.841 0.765
0.678 0.834 0.230
0.831 0.664 0.000
0.336 0.169 0.000
0.331 0.669 0.000
0.159 0.841 0.235
0.837 0.163 0.500
0.329 0.671 0.500

Entry Q
PBE CsCeMg14, optimized geometry; magnetic moment = 0.07 μB/atom; density = 2.58 g/cm3
1.0
6.615 0.000 0.000
-3.307 5.728 0.000
0.000 0.000 10.402
Mg Ce Cs
14 1 1
direct
0.664 0.328 0.625
0.833 0.667 0.372
0.343 0.686 0.884
0.343 0.157 0.366
0.343 0.686 0.366
0.814 0.157 0.884
0.814 0.157 0.366
0.665 0.329 0.125
0.664 0.836 0.625
0.665 0.835 0.125
0.172 0.836 0.625
0.343 0.157 0.884
0.171 0.835 0.125
0.833 0.667 0.878
0.167 0.333 0.125
0.167 0.333 0.625

Least stable = entry Q

Entry P
PBE CeGa3Cu, optimized geometry; magnetic moment = 0.16 μB/atom; density = 6.73 g/cm3
1.0
-0.212 -0.449 3.610
-1.754 -3.155 -0.495
7.698 -1.921 -1.625
Cu Ga Ce
1 3 1
direct
0.571 0.571 0.141
0.996 0.996 0.991
0.853 0.353 0.706
0.353 0.853 0.706
0.185 0.185 0.371

Entry Q
PBE CeGa3Cu, optimized geometry; density = 7.38 g/cm3
1.0
-2.124 2.124 5.147
2.124 -2.124 5.147
2.124 2.124 -5.147
Cu Ga Ce
1 3 1
direct
0.250 0.750 0.500
0.619 0.619 0.000
0.750 0.250 0.500
0.381 0.381 0.000
0.000 0.000 0.000

Least stable = entry P

Entry P
PBE Ce2CuN2O2, optimized geometry; magnetic moment = 0.00 μB/atom; density = 7.33 g/cm3
1.0
-0.262 -0.040 6.593
2.105 4.446 4.398
-3.382 -0.949 -5.586
N Ce Cu O
2 2 1 2
direct
0.000 0.500 0.500
0.500 0.000 0.500
0.640 0.640 0.000
0.360 0.360 0.000
0.000 0.000 0.000
0.750 0.250 0.500
0.250 0.750 0.500

Entry Q
PBE Ce2CuN2O2, optimized geometry; magnetic moment = 0.00 μB/atom; density = 7.21 g/cm3
1.0
1.993 2.219 5.929
-2.626 -0.866 6.033
1.853 -2.965 -5.641
Ce N O Cu
2 2 2 1
direct
0.349 0.349 0.000
0.651 0.651 0.000
0.750 0.250 0.500
0.250 0.750 0.500
0.000 0.500 0.500
0.500 0.000 0.500
0.000 0.000 0.000

Least stable = entry Q

Entry P
PBE CeCu4Sn, optimized geometry; magnetic moment = 0.15 μB/atom; density = 8.22 g/cm3
1.0
5.131 0.000 0.000
0.000 7.303 0.000
0.000 0.000 11.056
Sn Cu Ce
4 16 4
direct
0.363 0.710 0.682
0.637 0.790 0.182
0.863 0.290 0.818
0.137 0.210 0.318
0.646 0.139 0.252
0.354 0.361 0.752
0.388 0.641 0.385
0.888 0.359 0.115
0.068 0.958 0.804
0.146 0.861 0.248
0.112 0.141 0.615
0.432 0.458 0.196
0.568 0.042 0.696
0.642 0.527 0.960
0.358 0.973 0.460
0.854 0.639 0.748
0.932 0.542 0.304
0.858 0.027 0.040
0.142 0.473 0.540
0.612 0.859 0.885
0.162 0.678 0.993
0.662 0.322 0.507
0.838 0.822 0.493
0.338 0.178 0.007

Entry Q
PBE CeCu4Sn, optimized geometry; magnetic moment = 0.14 μB/atom; density = 7.41 g/cm3
1.0
5.099 0.000 0.000
0.000 8.513 0.000
0.000 0.000 10.600
Ce Cu Sn
4 16 4
direct
0.521 0.506 0.187
0.021 0.994 0.813
0.979 0.494 0.687
0.479 0.006 0.313
0.990 0.592 0.993
0.512 0.135 0.862
0.299 0.668 0.433
0.471 0.367 0.739
0.029 0.633 0.239
0.701 0.168 0.067
0.010 0.092 0.507
0.490 0.908 0.007
0.488 0.635 0.638
0.012 0.365 0.138
0.201 0.332 0.933
0.510 0.408 0.493
0.529 0.867 0.761
0.799 0.832 0.567
0.971 0.133 0.261
0.988 0.865 0.362
0.508 0.117 0.606
0.492 0.617 0.894
0.992 0.883 0.106
0.008 0.383 0.394

Entry R
PBE CeCu4Sn, optimized geometry; magnetic moment = 0.15 μB/atom; density = 8.11 g/cm3
1.0
7.919 0.000 0.000
0.000 5.783 0.000
0.000 0.010 9.178
Cu Ce Sn
16 4 4
direct
0.142 0.577 0.717
0.002 0.359 0.945
0.857 0.080 0.784
0.495 0.139 0.438
0.357 0.920 0.216
0.502 0.641 0.055
0.330 0.378 0.883
0.666 0.883 0.616
0.067 0.709 0.302
0.431 0.774 0.797
0.931 0.226 0.203
0.166 0.117 0.384
0.830 0.622 0.117
0.995 0.861 0.562
0.642 0.423 0.283
0.567 0.291 0.698
0.123 0.877 0.973
0.876 0.376 0.527
0.623 0.123 0.027
0.376 0.624 0.473
0.254 0.375 0.163
0.253 0.117 0.661
0.754 0.625 0.837
0.753 0.883 0.339

Least stable = entry Q

Entry P
PBE CeEr, optimized geometry; magnetic moment = 0.20 μB/atom; density = 8.41 g/cm3
1.0
-14.521 -7.687 3.763
-14.467 -8.644 0.350
-12.793 -10.620 2.772
Er Ce
3 3
direct
0.111 0.111 0.111
0.389 0.389 0.389
0.889 0.889 0.889
0.500 0.500 0.500
0.612 0.612 0.612
0.000 0.000 0.000

Entry Q
PBE CeEr, optimized geometry; magnetic moment = 0.54 μB/atom; density = 8.38 g/cm3
1.0
1.390 2.791 1.586
-3.449 -0.564 0.157
0.723 -3.084 4.795
Er Ce
1 1
direct
0.333 0.667 0.000
0.667 0.333 0.500

Least stable = entry Q

Entry P
PBE CeEu2ZrO6, optimized geometry; magnetic moment = 1.40 μB/atom; density = 6.53 g/cm3
1.0
-2.042 5.502 -1.670
-5.546 0.573 -2.477
-4.488 2.674 3.152
Zr Ce Eu O
1 1 2 6
direct
0.500 0.500 0.500
0.000 0.000 0.000
0.250 0.250 0.250
0.750 0.750 0.750
0.257 0.743 0.743
0.743 0.743 0.257
0.257 0.743 0.257
0.257 0.257 0.743
0.743 0.257 0.257
0.743 0.257 0.743

Entry Q
PBE CeEu2ZrO6, optimized geometry; magnetic moment = 1.40 μB/atom; density = 6.56 g/cm3
1.0
8.614 0.000 0.000
0.000 8.614 0.000
0.000 0.000 8.614
Eu Ce O Zr
8 4 24 4
direct
0.000 0.500 0.000
0.500 0.500 0.500
0.000 0.000 0.500
0.000 0.000 0.000
0.500 0.000 0.000
0.000 0.500 0.500
0.500 0.000 0.500
0.500 0.500 0.000
0.750 0.250 0.250
0.750 0.750 0.750
0.250 0.250 0.750
0.250 0.750 0.250
0.008 0.712 0.794
0.794 0.008 0.712
0.992 0.288 0.794
0.794 0.992 0.288
0.712 0.794 0.008
0.508 0.212 0.706
0.492 0.212 0.294
0.492 0.788 0.706
0.788 0.706 0.492
0.294 0.508 0.788
0.788 0.294 0.508
0.206 0.008 0.288
0.008 0.288 0.206
0.712 0.206 0.992
0.212 0.706 0.508
0.508 0.788 0.294
0.206 0.992 0.712
0.288 0.206 0.008
0.992 0.712 0.206
0.288 0.794 0.992
0.294 0.492 0.212
0.706 0.508 0.212
0.706 0.492 0.788
0.212 0.294 0.492
0.750 0.750 0.250
0.250 0.750 0.750
0.750 0.250 0.750
0.250 0.250 0.250

Least stable = entry P

Entry P
PBE Ce2Fe2S5, optimized geometry; magnetic moment = 0.67 μB/atom; density = 5.17 g/cm3
1.0
3.943 0.000 0.000
-1.971 8.152 0.000
0.000 0.000 11.046
Ce Fe S
4 4 10
direct
0.385 0.771 0.061
0.383 0.767 0.448
0.615 0.229 0.561
0.617 0.233 0.948
0.265 0.531 0.258
0.909 0.818 0.738
0.091 0.182 0.238
0.735 0.469 0.758
0.804 0.608 0.586
0.182 0.365 0.415
0.008 0.016 0.047
0.992 0.984 0.547
0.164 0.328 0.758
0.836 0.672 0.258
0.526 0.053 0.302
0.196 0.392 0.086
0.818 0.635 0.915
0.474 0.947 0.802

Entry Q
PBE Ce2Fe2S5, optimized geometry; magnetic moment = 0.89 μB/atom; density = 5.30 g/cm3
1.0
3.878 0.000 0.000
-1.939 8.168 0.000
0.000 0.000 10.920
S Ce Fe
10 4 4
direct
0.990 0.981 0.791
0.202 0.404 0.341
0.155 0.310 0.997
0.536 0.073 0.560
0.845 0.690 0.497
0.010 0.019 0.291
0.798 0.596 0.841
0.803 0.605 0.148
0.197 0.395 0.648
0.464 0.927 0.060
0.621 0.243 0.187
0.381 0.762 0.303
0.619 0.238 0.803
0.379 0.757 0.687
0.310 0.620 0.997
0.690 0.380 0.497
0.090 0.181 0.468
0.910 0.819 0.968

Least stable = entry P

Entry P
PBE CeMg14Ga, optimized geometry; magnetic moment = 0.00 μB/atom; density = 2.46 g/cm3
1.0
6.507 0.100 0.000
-3.167 5.486 0.000
0.000 0.000 10.301
Mg Ga Ce
14 1 1
direct
0.831 0.166 0.866
0.647 0.315 0.125
0.831 0.166 0.384
0.337 0.671 0.380
0.337 0.671 0.870
0.337 0.167 0.380
0.846 0.673 0.358
0.666 0.337 0.625
0.161 0.830 0.625
0.647 0.832 0.125
0.165 0.333 0.625
0.666 0.829 0.625
0.337 0.167 0.870
0.846 0.673 0.892
0.194 0.847 0.125
0.150 0.325 0.125

Entry Q
PBE CeMg14Ga, optimized geometry; magnetic moment = 0.01 μB/atom; density = 2.56 g/cm3
1.0
-1.304 -4.849 3.924
3.976 -0.852 -4.906
7.822 2.653 5.878
Mg Ce Ga
14 1 1
direct
0.333 0.665 0.865
0.833 0.667 0.362
0.835 0.167 0.865
0.333 0.167 0.865
0.835 0.167 0.385
0.670 0.830 0.625
0.333 0.167 0.385
0.659 0.841 0.125
0.833 0.667 0.888
0.333 0.665 0.385
0.160 0.830 0.625
0.659 0.319 0.125
0.670 0.340 0.625
0.181 0.841 0.125
0.167 0.333 0.125
0.167 0.333 0.625

Least stable = entry Q